First-principles (PBE) data for Ga2CoNi after structural relaxation, as listed in the Materials Project.

The formation energy is -0.318 eV/atom. As for the calculated density: 8.77 g/cm³. Its space-group type is P4/mmm.

```
Ga2CoNi
1.0
2.897 0.000 0.000
0.000 2.897 0.000
0.000 0.000 5.803
Ga Co Ni
2 1 1
Direct
0.000 0.000 0.752
0.000 0.000 0.248
0.500 0.500 0.000
0.500 0.500 0.500
```